(1)
! PBE+U Li4MnCo2O7, relaxed; values from VASP
! - Offset from the most stable computed form: 65 meV per atom
! - Energy relative to the elements: -1.819 eV/atom
! - Total DFT energy (no corrections): -162.72 eV/cell
! - Symmetry: Cm (8)
! - Total moment: 0.286 μB per atom
&SYSTEM
  ibrav = 0, nat = 28, ntyp = 4
/
ATOMIC_SPECIES
Li 6.94 Li.upf
Mn 54.94 Mn.upf
Co 58.93 Co.upf
O 16.00 O.upf
CELL_PARAMETERS angstrom
6.2935 -1.4680 0.0000
6.2935 1.4680 0.0000
-4.7853 0.0000 13.5269
ATOMIC_POSITIONS angstrom
Li 0.0000 0.0000 0.0000
Li 10.2101 0.0000 6.7017
Li 0.7668 0.0000 2.7982
Li -0.7306 0.0000 12.7170
Li 2.3771 0.0000 8.6886
Li 5.5188 0.0000 4.6678
Li 8.6182 0.0000 1.0316
Li 7.0167 0.0000 10.8213
Mn 3.0689 0.0000 11.5956
Mn 6.2890 0.0000 7.7657
Co -1.5989 0.0000 9.6582
Co 1.6923 0.0000 5.7386
Co 4.8372 0.0000 1.7622
Co 9.4964 0.0000 3.7352
O -3.4227 0.0000 10.2207
O -2.8228 0.0000 12.7656
O -0.3035 0.0000 6.5121
O 0.2516 0.0000 9.0426
O 2.8078 0.0000 2.4837
O 3.4853 0.0000 5.3741
O 1.2836 0.0000 11.9568
O 6.6165 0.0000 1.4841
O 4.4293 0.0000 8.3530
O 4.9765 0.0000 10.8877
O 7.5584 0.0000 4.4743
O 8.1191 0.0000 7.2811
O 10.5990 0.0000 0.5342
O 11.3126 0.0000 3.4212

***

(2)
! PBE+U Li7Mn4CoO12, relaxed; values from VASP
! - Offset from the most stable computed form: 42 meV per atom
! - Energy relative to the elements: -2.043 eV/atom
! - Total DFT energy (no corrections): -148.96 eV/cell
! - Symmetry: P1 (1)
! - Total moment: 0.583 μB per atom
&SYSTEM
  ibrav = 0, nat = 24, ntyp = 4
/
ATOMIC_SPECIES
Li 6.94 Li.upf
Mn 54.94 Mn.upf
Co 58.93 Co.upf
O 16.00 O.upf
CELL_PARAMETERS angstrom
2.9740 0.0000 0.0000
-1.1931 4.9465 0.0000
-0.9543 -1.9070 14.8897
ATOMIC_POSITIONS angstrom
Li 0.0000 0.0000 0.0000
Li -1.1029 3.2643 3.7258
Li 0.1417 2.6950 1.0611
Li 0.3411 -0.7050 8.6710
Li 0.4819 3.7501 6.1559
Li 0.6824 0.3418 13.7952
Li 1.9362 -0.2595 11.1521
Mn -0.7727 2.5216 12.4936
Mn 1.6056 0.5114 2.3948
Mn 0.5821 2.0477 9.9124
Mn 1.8940 1.5064 7.3916
Co 0.2294 0.9741 4.9202
O -1.0379 2.2649 5.5646
O -1.0791 4.2830 1.9514
O 0.1593 1.6744 3.1202
O 0.2074 0.2152 6.7051
O -0.7887 1.6742 14.1028
O -0.7157 3.3172 10.6040
O 1.5521 -0.2496 4.2766
O 1.6151 1.3605 0.7858
O 0.6269 2.8173 8.0848
O 0.6753 1.3429 11.7721
O 1.9103 -1.2540 12.9386
O 1.8494 0.7310 9.2250

***

(3)
! PBE+U Li4Mn3Co3O12, relaxed; values from VASP
! - Offset from the most stable computed form: 0 meV per atom
! - Energy relative to the elements: -1.792 eV/atom
! - Total DFT energy (no corrections): -274.18 eV/cell
! - Symmetry: P-1 (2)
! - Total moment: 0.455 μB per atom
&SYSTEM
  ibrav = 0, nat = 44, ntyp = 4
/
ATOMIC_SPECIES
Li 6.94 Li.upf
Mn 54.94 Mn.upf
Co 58.93 Co.upf
O 16.00 O.upf
CELL_PARAMETERS angstrom
5.7486 0.0000 0.0000
1.5696 7.8194 0.0000
1.2014 1.4567 9.9378
ATOMIC_POSITIONS angstrom
Li 0.6886 2.2779 2.4804
Li 2.3646 5.1819 2.5262
Li 2.3538 2.0851 7.4306
Li 3.5328 2.2164 2.4696
Li 4.9869 7.0597 7.4682
Li 6.1659 7.1910 2.5072
Li 6.1551 4.0942 7.4116
Li 7.8311 6.9982 7.4574
Mn 0.6007 0.7284 4.9689
Mn 0.7848 3.9097 0.0000
Mn 3.5394 5.9247 4.9785
Mn 3.3711 2.7411 9.8991
Mn 5.1486 6.5349 0.0387
Mn 4.9803 3.3514 4.9593
Co 2.2690 6.5504 0.0841
Co 2.0882 3.3723 4.9840
Co 3.4750 0.7284 4.9689
Co 3.6591 3.9097 0.0000
Co 6.4315 5.9038 4.9538
Co 6.2507 2.7257 9.8537
O 2.1078 6.6331 3.8930
O 2.0791 5.2340 6.0262
O 2.0174 3.4683 8.7748
O 0.7323 0.5804 1.0357
O 3.4403 6.2071 8.9274
O 2.0553 1.4913 3.9178
O 2.1699 2.9227 1.0654
O 3.5545 7.5691 6.0494
O 3.5188 4.2137 3.9612
O 4.9648 8.8708 8.8969
O 3.6793 5.7052 1.0366
O 3.5111 2.5654 5.9423
O 5.0086 6.7107 3.9955
O 4.8404 3.5709 8.9013
O 3.5549 0.4053 1.0409
O 5.0009 5.0624 5.9766
O 4.9652 1.7070 3.8884
O 6.3498 6.3534 8.8724
O 6.4644 7.7848 6.0201
O 5.0794 3.0689 1.0105
O 7.7874 8.6957 8.9021
O 6.5023 5.8078 1.1631
O 6.4406 4.0421 3.9117
O 6.4119 2.6430 6.0448

***

(4)
! PBE+U Li4MnCo2O7, relaxed; values from VASP
! - Offset from the most stable computed form: 72 meV per atom
! - Energy relative to the elements: -1.812 eV/atom
! - Total DFT energy (no corrections): -162.54 eV/cell
! - Symmetry: P-1 (2)
! - Total moment: 0.643 μB per atom
&SYSTEM
  ibrav = 0, nat = 28, ntyp = 4
/
ATOMIC_SPECIES
Li 6.94 Li.upf
Mn 54.94 Mn.upf
Co 58.93 Co.upf
O 16.00 O.upf
CELL_PARAMETERS angstrom
5.0053 0.0000 0.0000
1.6573 5.5450 0.0000
1.6292 -0.3748 9.2216
ATOMIC_POSITIONS angstrom
Li 0.0000 0.0000 0.0000
Li 0.8286 2.7725 0.0000
Li 2.2635 0.8936 6.6285
Li 3.6500 5.0061 3.9488
Li 3.4267 3.5271 1.2964
Li 4.8650 1.6431 7.9253
Li 4.6417 0.1641 5.2729
Li 6.0282 4.2766 2.5931
Mn 2.8389 2.2012 3.9171
Mn 5.4528 2.9690 5.3045
Co 3.0689 3.6957 6.6232
Co 2.6136 0.7398 1.2192
Co 5.6782 4.4304 8.0025
Co 5.2229 1.4745 2.5984
O 2.0238 3.8738 4.5712
O 1.7677 2.3783 1.9414
O 2.7702 5.4449 1.9910
O 3.3280 0.5335 8.5850
O 4.2232 3.5025 8.5058
O 4.6119 4.6161 5.9461
O 3.8585 2.0716 5.9596
O 4.4332 3.0986 3.2620
O 3.6799 0.5541 3.2755
O 4.0686 1.6677 0.7158
O 4.9638 4.6367 0.6366
O 5.5216 -0.2747 7.2307
O 6.5240 2.7919 7.2802
O 6.2680 1.2964 4.6504

***

(5)
! PBE+U Li7Mn4CoO12, relaxed; values from VASP
! - Offset from the most stable computed form: 45 meV per atom
! - Energy relative to the elements: -2.039 eV/atom
! - Total DFT energy (no corrections): -148.88 eV/cell
! - Symmetry: P2/m (10)
! - Total moment: 0.667 μB per atom
&SYSTEM
  ibrav = 0, nat = 24, ntyp = 4
/
ATOMIC_SPECIES
Li 6.94 Li.upf
Mn 54.94 Mn.upf
Co 58.93 Co.upf
O 16.00 O.upf
CELL_PARAMETERS angstrom
5.8439 0.0000 0.0000
0.0000 2.8687 0.0000
-2.8217 0.0000 13.0142
ATOMIC_POSITIONS angstrom
Li 0.0000 0.0000 0.0000
Li -1.4108 1.4344 6.5071
Li 0.0958 0.0000 8.3858
Li 1.5002 1.4344 2.2631
Li 1.5111 1.4344 6.5071
Li 1.5220 1.4344 10.7511
Li 2.9264 0.0000 4.6284
Mn -1.3611 1.4344 10.7728
Mn 0.0554 0.0000 4.5254
Mn 2.9668 0.0000 8.4888
Mn 4.3833 1.4344 2.2414
Co 2.9220 0.0000 0.0000
O -1.5409 1.4344 8.5838
O -0.1095 0.0000 2.3349
O 0.0649 0.0000 6.3294
O 1.6044 1.4344 0.0250
O 1.3466 1.4344 4.3577
O -0.0356 0.0000 10.8216
O 3.0578 0.0000 2.1926
O 1.6756 1.4344 8.6565
O 1.4178 1.4344 12.9892
O 2.9574 0.0000 6.6848
O 3.1317 0.0000 10.6793
O 4.5632 1.4344 4.4304

***

(6)
! PBE+U Li2Mn3CoO8, relaxed; values from VASP
! - Offset from the most stable computed form: 0 meV per atom
! - Energy relative to the elements: -1.953 eV/atom
! - Total DFT energy (no corrections): -186.40 eV/cell
! - Total moment: 0.000 μB per atom
&SYSTEM
  ibrav = 0, nat = 28, ntyp = 4
/
ATOMIC_SPECIES
Li 6.94 Li.upf
Mn 54.94 Mn.upf
Co 58.93 Co.upf
O 16.00 O.upf
CELL_PARAMETERS angstrom
-1.3425 3.7240 4.5162
-4.2470 -2.4969 -3.4342
2.7732 -6.9442 6.5283
ATOMIC_POSITIONS angstrom
Li -0.0743 -1.3035 1.0949
Li 0.6411 -2.9147 6.6192
Li -3.4574 -2.8037 0.9931
Li -2.7419 -4.4127 6.5137
Mn -2.7947 0.6119 0.5418
Mn -0.6720 1.8608 2.2585
Mn -3.4657 2.4740 2.7992
Mn -2.0795 -0.9952 6.0624
Mn -4.2019 -2.2437 4.3457
Mn -1.4086 -2.8568 3.8050
Co -0.3791 -5.5256 4.3083
Co -2.4371 -0.1915 3.3021
O -0.1485 -2.7512 2.3539
O 0.5667 -4.3633 7.8766
O -3.3832 -1.3559 -0.2660
O -2.6675 -2.9641 5.2559
O -0.6024 -1.5082 7.2532
O -1.3178 0.1006 1.7312
O 0.1101 -3.6754 4.7378
O -1.9478 1.6579 3.7323
O -1.7636 -4.6825 3.2218
O -3.8217 0.6501 2.2158
O 1.0052 -6.3689 5.3947
O -1.0524 -1.0332 4.3885
O -0.8685 -7.3758 3.8785
O -2.9263 -2.0410 2.8718
O -1.4984 -5.8192 5.8795
O -2.2139 -4.2076 0.3569

***

(7)
! PBE+U Li7Mn2Co3O12, relaxed; values from VASP
! - Offset from the most stable computed form: 75 meV per atom
! - Energy relative to the elements: -1.859 eV/atom
! - Total DFT energy (no corrections): -140.50 eV/cell
! - Symmetry: P1 (1)
! - Total moment: 0.500 μB per atom
&SYSTEM
  ibrav = 0, nat = 24, ntyp = 4
/
ATOMIC_SPECIES
Li 6.94 Li.upf
Mn 54.94 Mn.upf
Co 58.93 Co.upf
O 16.00 O.upf
CELL_PARAMETERS angstrom
2.9464 0.0000 0.0000
-1.2240 4.9221 0.0000
-1.0189 -1.9621 14.8235
ATOMIC_POSITIONS angstrom
Li 0.0000 0.0000 0.0000
Li -1.1267 1.5334 7.4178
Li -0.8648 2.5047 12.3863
Li 0.2568 1.1057 4.9292
Li 0.2223 2.8678 1.2138
Li 1.4844 0.5152 2.3271
Li 0.4498 2.0542 9.8333
Mn -1.0660 -0.1846 11.1114
Mn 1.7527 3.2993 3.5874
Co 0.2531 -0.6969 8.6254
Co 0.3653 3.7300 6.1665
Co 0.5509 0.3122 13.6815
O -1.2024 4.1228 1.9494
O -1.0148 0.5818 9.2914
O -0.9769 3.4624 10.4178
O 0.2417 0.0698 6.8262
O -0.7849 1.5364 14.1202
O 0.2796 2.1153 3.1385
O 1.5132 -0.4589 4.2567
O 0.3355 2.9784 8.0200
O 1.5443 1.4468 0.3791
O 0.5564 1.0580 11.8150
O 1.8430 -0.9490 12.8886
O 1.7356 2.5048 5.4890

***

(8)
! PBE+U Li4MnCo2O7, relaxed; values from VASP
! - Offset from the most stable computed form: 75 meV per atom
! - Energy relative to the elements: -1.809 eV/atom
! - Total DFT energy (no corrections): -162.44 eV/cell
! - Symmetry: P-1 (2)
! - Total moment: 0.643 μB per atom
&SYSTEM
  ibrav = 0, nat = 28, ntyp = 4
/
ATOMIC_SPECIES
Li 6.94 Li.upf
Mn 54.94 Mn.upf
Co 58.93 Co.upf
O 16.00 O.upf
CELL_PARAMETERS angstrom
5.0002 0.0000 0.0000
-0.9755 4.9795 0.0000
-0.7723 -2.4222 10.2581
ATOMIC_POSITIONS angstrom
Li 0.0000 0.0000 0.0000
Li -0.3861 -1.2111 5.1291
Li 0.2285 0.7056 2.9569
Li 0.4165 1.4481 5.8465
Li 0.6330 2.2070 8.7804
Li 2.6194 0.3503 1.4777
Li 2.8359 1.1092 4.4116
Li 3.0239 1.8517 7.3012
Mn 0.8147 2.6760 0.7688
Mn 2.4377 -0.1187 9.4893
Co -0.1790 -0.4792 8.0178
Co 1.0284 3.3801 3.7580
Co 2.2240 -0.8228 6.5001
Co 3.4314 3.0365 2.2403
O -0.9717 0.9220 9.0888
O -0.4255 2.3335 3.9914
O -0.0318 4.1011 1.8295
O -0.2465 3.1447 7.0154
O 0.8559 -1.1763 9.9368
O 1.3189 -0.1741 4.7522
O 1.3736 0.5389 7.6323
O 1.8789 2.0184 2.6258
O 1.9336 2.7314 5.5060
O 2.3965 3.7336 0.3213
O 3.4990 -0.5874 3.2427
O 3.2843 -1.5438 8.4286
O 3.6780 0.2238 6.2668
O 4.2242 1.6354 1.1694

***

(9)
! PBE+U Li7Mn2Co3O12, relaxed; values from VASP
! - Offset from the most stable computed form: 91 meV per atom
! - Energy relative to the elements: -1.843 eV/atom
! - Total DFT energy (no corrections): -140.11 eV/cell
! - Symmetry: P1 (1)
! - Total moment: 0.500 μB per atom
&SYSTEM
  ibrav = 0, nat = 24, ntyp = 4
/
ATOMIC_SPECIES
Li 6.94 Li.upf
Mn 54.94 Mn.upf
Co 58.93 Co.upf
O 16.00 O.upf
CELL_PARAMETERS angstrom
4.9876 0.0000 0.0000
2.3027 4.4784 0.0000
2.0244 -0.3447 9.6654
ATOMIC_POSITIONS angstrom
Li 0.0000 0.0000 0.0000
Li 2.6883 1.2007 7.3328
Li 1.7054 -0.0135 2.3268
Li 5.1395 2.7027 7.3664
Li 4.2220 1.3805 2.3181
Li 5.2659 -0.2361 7.3180
Li 6.6201 2.9335 2.3376
Mn 3.3627 2.8009 4.8377
Mn 3.5279 -0.1586 4.8307
Co 2.4134 1.4379 0.0350
Co 6.9056 2.7073 9.6329
Co 5.9381 1.3254 4.8302
O 3.3585 2.6736 8.5309
O 1.8284 -0.1438 5.8590
O 2.5425 1.4315 3.7237
O 3.3912 2.8303 1.0983
O 3.7038 -0.2476 8.5463
O 4.3559 1.2198 5.9440
O 5.0649 2.7847 3.8220
O 5.6025 4.3762 1.1316
O 5.9346 1.3045 8.5905
O 6.7467 2.6910 5.9456
O 5.1198 -0.0481 3.7021
O 5.9631 1.4742 1.1227

***

(10)
! PBE+U Li4MnCo2O7, relaxed; values from VASP
! - Offset from the most stable computed form: 93 meV per atom
! - Energy relative to the elements: -1.791 eV/atom
! - Total DFT energy (no corrections): -161.95 eV/cell
! - Symmetry: P1 (1)
! - Total moment: 0.571 μB per atom
&SYSTEM
  ibrav = 0, nat = 28, ntyp = 4
/
ATOMIC_SPECIES
Li 6.94 Li.upf
Mn 54.94 Mn.upf
Co 58.93 Co.upf
O 16.00 O.upf
CELL_PARAMETERS angstrom
3.0215 0.0000 0.0000
1.4827 6.2211 0.0000
0.2674 1.4396 13.4932
ATOMIC_POSITIONS angstrom
Li 0.0000 0.0000 0.0000
Li 0.8728 3.8037 6.7510
Li 2.0079 6.9184 10.6148
Li 1.4186 2.2996 0.9348
Li 2.5629 5.4212 4.8194
Li 2.2139 2.2768 8.6948
Li 3.3574 5.3542 12.5590
Li 2.7620 0.7063 2.8838
Mn 1.1483 3.0872 3.8455
Mn 2.2854 6.1406 7.7205
Co 1.9388 2.9501 11.6536
Co 2.8462 4.7108 1.8303
Co 2.4855 1.5041 5.7856
Co 3.6272 4.5587 9.6730
O 0.6306 2.7462 10.1861
O 0.7735 1.7951 7.1802
O 1.4919 4.3034 0.5943
O 1.9136 4.7922 11.0526
O 1.1736 1.2142 4.3992
O 1.3493 0.2062 1.5248
O 2.3261 4.2693 8.2684
O 2.4545 3.3621 5.2897
O 3.4142 7.4525 11.9717
O 3.5974 6.4183 9.1626
O 2.8485 2.8386 2.4094
O 3.2692 3.3594 12.8928
O 4.0022 5.8642 6.2826
O 4.1385 4.9395 3.3089

***

(11)
! PBE+U Li4Mn3CoO8, relaxed; values from VASP
! - Offset from the most stable computed form: 15 meV per atom
! - Energy relative to the elements: -2.013 eV/atom
! - Total DFT energy (no corrections): -101.89 eV/cell
! - Symmetry: P-1 (2)
! - Total moment: 1.000 μB per atom
&SYSTEM
  ibrav = 0, nat = 16, ntyp = 4
/
ATOMIC_SPECIES
Li 6.94 Li.upf
Mn 54.94 Mn.upf
Co 58.93 Co.upf
O 16.00 O.upf
CELL_PARAMETERS angstrom
3.0930 0.0000 0.0000
1.4813 6.3157 0.0000
0.7597 -0.0779 7.8657
ATOMIC_POSITIONS angstrom
Li 1.2114 0.7684 2.9794
Li 2.3425 3.9084 6.8946
Li 2.9915 2.3293 0.9711
Li 4.1226 5.4694 4.8862
Mn 1.3553 4.7204 1.9426
Mn 2.6670 3.1189 3.9328
Mn 3.9787 1.5173 5.9231
Co 1.5465 0.0000 0.0000
O 2.2857 5.9655 6.4699
O 1.3789 2.8350 2.4776
O 2.2126 1.7976 7.3678
O 2.6258 5.0084 3.4137
O 2.7082 1.2293 4.4520
O 3.1214 4.4401 0.4979
O 3.9551 3.4027 5.3880
O 3.0483 0.2722 1.3958

***

(12)
! PBE+U Li6Mn3CoO10, relaxed; values from VASP
! - Offset from the most stable computed form: 37 meV per atom
! - Energy relative to the elements: -2.024 eV/atom
! - Total DFT energy (no corrections): -122.49 eV/cell
! - Symmetry: C2 (5)
! - Total moment: 0.500 μB per atom
&SYSTEM
  ibrav = 0, nat = 20, ntyp = 4
/
ATOMIC_SPECIES
Li 6.94 Li.upf
Mn 54.94 Mn.upf
Co 58.93 Co.upf
O 16.00 O.upf
CELL_PARAMETERS angstrom
2.5080 -7.3830 0.0000
2.5080 7.3830 0.0000
-1.6697 0.0000 4.8260
ATOMIC_POSITIONS angstrom
Li 0.0000 0.0000 0.0000
Li 1.6732 5.9831 2.4130
Li 1.6732 2.8509 2.4130
Li 1.6732 -0.0150 2.4130
Li 1.6732 -2.9602 2.4130
Li 1.6732 -6.0450 2.4130
Mn 2.5080 4.4365 0.0000
Mn 2.5080 -1.4541 0.0000
Mn 2.5080 -4.5146 0.0000
Co 2.5080 1.3781 0.0000
O -0.0442 3.0373 3.7387
O 0.7477 1.5863 1.1409
O 0.1354 -0.1643 3.6857
O 0.8702 -1.6129 1.0545
O -0.0194 -2.9776 3.7641
O 3.3906 3.0373 1.0873
O 2.5987 1.5863 3.6851
O 3.2110 -0.1643 1.1403
O 2.4762 -1.6129 3.7715
O 3.3657 -2.9776 1.0619

***

(13)
! PBE+U Li7Mn4CoO12, relaxed; values from VASP
! - Offset from the most stable computed form: 17 meV per atom
! - Energy relative to the elements: -2.067 eV/atom
! - Total DFT energy (no corrections): -149.55 eV/cell
! - Symmetry: P1 (1)
! - Total moment: 0.583 μB per atom
&SYSTEM
  ibrav = 0, nat = 24, ntyp = 4
/
ATOMIC_SPECIES
Li 6.94 Li.upf
Mn 54.94 Mn.upf
Co 58.93 Co.upf
O 16.00 O.upf
CELL_PARAMETERS angstrom
5.8172 0.0000 0.0000
2.8912 5.1688 0.0000
2.8837 0.4063 7.1591
ATOMIC_POSITIONS angstrom
Li 0.0000 0.0000 0.0000
Li 8.7330 2.0008 4.8439
Li 5.7813 2.0157 4.8307
Li 7.2435 4.6054 4.8341
Li 4.3776 1.0359 2.4738
Li 7.2019 2.9665 7.1145
Li 8.7107 3.5929 2.4151
Mn 5.7926 0.4469 7.1582
Mn 5.8022 3.5689 2.4275
Mn 7.2509 1.0550 2.4430
Mn 10.1586 4.5705 4.8280
Co 1.4500 2.5592 0.0122
O 2.7832 0.2899 3.6628
O 2.7874 1.8483 1.2720
O 5.6584 3.8067 6.0080
O 4.4277 2.9980 3.6546
O 4.4189 1.3135 6.1492
O 4.4600 4.5449 1.3362
O 7.1242 4.2388 1.1237
O 7.1823 1.0102 5.9428
O 7.1836 2.6741 3.4502
O 8.8322 5.3688 3.5889
O 5.9229 1.7296 1.2143
O 8.8183 3.7202 5.9342